Entry 1:
The following is a DFT calculation (GGA+U) of a relaxed Li4CoNi5O12 crystal.

```
data_Li4CoNi5O12
_space_group_name_H-M_alt 'C 1 2 1'
_space_group_IT_number 5
_cell_length_a 5.044
_cell_length_b 8.469
_cell_length_c 9.998
_cell_angle_alpha 90.00
_cell_angle_beta 92.28
_cell_angle_gamma 90.00
loop_
_space_group_symop_operation_xyz
'x,y,z'
'-x,y,-z'
'x+1/2,y+1/2,z'
'-x+1/2,y+1/2,-z'
loop_
_atom_site_label
_atom_site_type_symbol
_atom_site_fract_x
_atom_site_fract_y
_atom_site_fract_z
_atom_site_occupancy
Li1 Li 0.102 0.000 0.253 1
Li2 Li 0.104 0.473 0.252 1
Co1 Co 0.000 0.239 0.500 1
Ni1 Ni 0.000 0.069 0.000 1
Ni2 Ni 0.000 0.399 0.000 1
Ni3 Ni 0.000 0.573 0.500 1
Ni4 Ni 0.000 0.737 0.000 1
Ni5 Ni 0.000 0.904 0.500 1
O1 O 0.143 0.915 0.891 1
O2 O 0.146 0.407 0.606 1
O3 O 0.147 0.070 0.606 1
O4 O 0.164 0.234 0.904 1
O5 O 0.170 0.561 0.898 1
O6 O 0.181 0.739 0.594 1
```

- relative energy among the computed polymorphs (eV per formula unit) = 0.000

=====

Entry 2:
The following is a DFT calculation (GGA+U) of a relaxed MgMn12O14F10 crystal.

```
data_MgMn12O14F10
_space_group_name_H-M_alt 'P 1'
_space_group_IT_number 1
_cell_length_a 4.806
_cell_length_b 5.802
_cell_length_c 15.217
_cell_angle_alpha 89.61
_cell_angle_beta 87.65
_cell_angle_gamma 89.05
loop_
_space_group_symop_operation_xyz
'x,y,z'
loop_
_atom_site_label
_atom_site_type_symbol
_atom_site_fract_x
_atom_site_fract_y
_atom_site_fract_z
_atom_site_occupancy
Mg1 Mg 0.000 0.000 0.000 1
Mn1 Mn 0.015 0.268 0.489 1
Mn2 Mn 0.018 0.575 0.322 1
Mn3 Mn 0.041 0.271 0.166 1
Mn4 Mn 0.450 0.768 0.829 1
Mn5 Mn 0.472 0.092 0.660 1
Mn6 Mn 0.475 0.255 0.006 1
Mn7 Mn 0.485 0.757 0.164 1
Mn8 Mn 0.495 0.761 0.504 1
Mn9 Mn 0.530 0.075 0.339 1
Mn10 Mn 0.980 0.247 0.813 1
Mn11 Mn 0.990 0.557 0.648 1
Mn12 Mn 0.999 0.529 0.991 1
O1 O 0.172 0.263 0.927 1
O2 O 0.188 0.757 0.932 1
O3 O 0.218 0.321 0.595 1
O4 O 0.265 0.802 0.607 1
O5 O 0.267 0.025 0.104 1
O6 O 0.272 0.042 0.768 1
O7 O 0.295 0.487 0.085 1
O8 O 0.300 0.034 0.443 1
O9 O 0.302 0.804 0.276 1
O10 O 0.765 0.308 0.711 1
O11 O 0.783 0.538 0.547 1
O12 O 0.812 0.282 0.059 1
O13 O 0.814 0.299 0.381 1
O14 O 0.836 0.538 0.214 1
F1 F 0.203 0.537 0.758 1
F2 F 0.254 0.542 0.426 1
F3 F 0.293 0.306 0.266 1
F4 F 0.685 0.041 0.912 1
F5 F 0.706 0.496 0.886 1
F6 F 0.731 0.044 0.558 1
F7 F 0.738 0.791 0.721 1
F8 F 0.750 0.773 0.055 1
F9 F 0.753 0.796 0.397 1
F10 F 0.756 0.037 0.225 1
```

- relative energy among the computed polymorphs (eV per formula unit) = 0.570

=====

Entry 3:
The following is a DFT calculation (GGA+U) of a relaxed MoO3 crystal.

```
data_MoO3
_space_group_name_H-M_alt 'P 1'
_space_group_IT_number 1
_cell_length_a 12.274
_cell_length_b 12.941
_cell_length_c 12.994
_cell_angle_alpha 95.62
_cell_angle_beta 90.87
_cell_angle_gamma 92.91
loop_
_space_group_symop_operation_xyz
'x,y,z'
loop_
_atom_site_label
_atom_site_type_symbol
_atom_site_fract_x
_atom_site_fract_y
_atom_site_fract_z
_atom_site_occupancy
Mo1 Mo 0.000 0.000 0.000 1
Mo2 Mo 0.000 0.267 0.061 1
Mo3 Mo 0.007 0.187 0.643 1
Mo4 Mo 0.030 0.578 0.617 1
Mo5 Mo 0.046 0.849 0.620 1
Mo6 Mo 0.127 0.991 0.381 1
Mo7 Mo 0.197 0.371 0.530 1
Mo8 Mo 0.198 0.569 0.189 1
Mo9 Mo 0.291 0.584 0.928 1
Mo10 Mo 0.389 0.801 0.772 1
Mo11 Mo 0.391 0.947 0.262 1
Mo12 Mo 0.432 0.208 0.228 1
Mo13 Mo 0.448 0.510 0.586 1
Mo14 Mo 0.504 0.264 0.615 1
Mo15 Mo 0.568 0.751 0.547 1
Mo16 Mo 0.624 0.267 0.011 1
Mo17 Mo 0.631 0.331 0.404 1
Mo18 Mo 0.642 0.798 0.941 1
Mo19 Mo 0.653 0.564 0.061 1
Mo20 Mo 0.704 0.039 0.861 1
Mo21 Mo 0.748 0.280 0.751 1
Mo22 Mo 0.750 0.909 0.528 1
Mo23 Mo 0.780 0.620 0.426 1
Mo24 Mo 0.878 0.381 0.406 1
Mo25 Mo 0.910 0.736 0.078 1
O1 O 0.005 0.269 0.930 1
O2 O 0.008 0.010 0.314 1
O3 O 0.032 0.128 0.087 1
O4 O 0.053 0.094 0.716 1
O5 O 0.073 0.468 0.170 1
O6 O 0.085 0.470 0.523 1
O7 O 0.090 0.919 0.494 1
O8 O 0.104 0.985 0.916 1
O9 O 0.108 0.373 0.117 1
O10 O 0.133 0.274 0.616 1
O11 O 0.134 0.607 0.706 1
O12 O 0.159 0.663 0.281 1
O13 O 0.181 0.110 0.434 1
O14 O 0.181 0.833 0.660 1
O15 O 0.205 0.485 0.871 1
O16 O 0.222 0.970 0.242 1
O17 O 0.229 0.342 0.404 1
O18 O 0.237 0.626 0.064 1
O19 O 0.243 0.887 0.315 1
O20 O 0.300 0.484 0.594 1
O21 O 0.308 0.512 0.238 1
O22 O 0.310 0.690 0.840 1
O23 O 0.324 0.255 0.166 1
O24 O 0.356 0.920 0.824 1
O25 O 0.389 0.193 0.352 1
O26 O 0.402 0.169 0.590 1
O27 O 0.414 0.530 0.950 1
O28 O 0.432 0.062 0.181 1
O29 O 0.438 0.838 0.195 1
O30 O 0.440 0.360 0.695 1
O31 O 0.442 0.784 0.633 1
O32 O 0.465 0.973 0.375 1
O33 O 0.466 0.611 0.500 1
O34 O 0.506 0.387 0.517 1
O35 O 0.507 0.569 0.699 1
O36 O 0.513 0.252 0.931 1
O37 O 0.526 0.778 0.842 1
O38 O 0.533 0.336 0.300 1
O39 O 0.570 0.231 0.131 1
O40 O 0.571 0.035 0.819 1
O41 O 0.576 0.611 0.161 1
O42 O 0.581 0.874 0.035 1
O43 O 0.602 0.822 0.442 1
O44 O 0.607 0.229 0.488 1
O45 O 0.610 0.212 0.702 1
O46 O 0.622 0.643 0.955 1
O47 O 0.640 0.416 0.045 1
O48 O 0.668 0.842 0.636 1
O49 O 0.680 0.644 0.533 1
O50 O 0.695 0.136 0.980 1
O51 O 0.709 0.444 0.463 1
O52 O 0.711 0.035 0.532 1
O53 O 0.720 0.894 0.861 1
O54 O 0.721 0.572 0.308 1
O55 O 0.725 0.394 0.699 1
O56 O 0.735 0.309 0.887 1
O57 O 0.757 0.289 0.336 1
O58 O 0.773 0.109 0.768 1
O59 O 0.778 0.781 0.010 1
O60 O 0.793 0.606 0.089 1
O61 O 0.824 0.748 0.412 1
O62 O 0.867 0.293 0.094 1
O63 O 0.881 0.024 0.932 1
O64 O 0.892 0.907 0.560 1
O65 O 0.895 0.263 0.715 1
O66 O 0.902 0.533 0.442 1
O67 O 0.907 0.322 0.514 1
O68 O 0.922 0.529 0.683 1
O69 O 0.940 0.737 0.208 1
O70 O 0.957 0.121 0.531 1
O71 O 0.977 0.350 0.319 1
O72 O 0.978 0.877 0.061 1
O73 O 0.982 0.873 0.737 1
O74 O 0.998 0.658 0.009 1
O75 O 0.999 0.709 0.571 1
```

=====

Entry 4:
The following is a DFT calculation (GGA+U) of a relaxed Li2Si4NiO10 crystal.

```
data_Li2Si4NiO10
_space_group_name_H-M_alt 'P -1'
_space_group_IT_number 2
_cell_length_a 6.924
_cell_length_b 7.520
_cell_length_c 9.640
_cell_angle_alpha 100.08
_cell_angle_beta 103.28
_cell_angle_gamma 116.54
loop_
_space_group_symop_operation_xyz
'x,y,z'
'-x,-y,-z'
loop_
_atom_site_label
_atom_site_type_symbol
_atom_site_fract_x
_atom_site_fract_y
_atom_site_fract_z
_atom_site_occupancy
Li1 Li 0.116 0.258 0.456 1
Li2 Li 0.302 0.811 0.927 1
Si1 Si 0.108 0.859 0.242 1
Si2 Si 0.251 0.545 0.305 1
Si3 Si 0.309 0.116 0.742 1
Si4 Si 0.398 0.777 0.640 1
Ni1 Ni 0.247 0.183 0.074 1
O1 O 0.065 0.885 0.078 1
O2 O 0.075 0.128 0.679 1
O3 O 0.082 0.629 0.232 1
O4 O 0.147 0.301 0.233 1
O5 O 0.231 0.883 0.626 1
O6 O 0.272 0.574 0.485 1
O7 O 0.358 0.045 0.366 1
O8 O 0.389 0.123 0.914 1
O9 O 0.431 0.716 0.789 1
O10 O 0.493 0.303 0.697 1
```

- relative energy among the computed polymorphs (eV per formula unit) = 0.000

=====

| no. | DFT formation energy (eV per formula unit) | calculated total energy (eV per atom) |
| --- | --- | --- |
| 1 | -28.86 | -4.97 |
| 2 | -83.54 | -6.74 |
| 3 | -5.34 | -6.84 |
| 4 | -48.16 | -7.03 |